19
Lattice="-4.786 -4.465 7.289 -2.655 -0.039 9.430 -6.778 3.186 0.158" Properties=species:S:1:pos:R:3 comment="Sr8Fe3N8 PBE relaxed" space_group="C2/m, No. 12" total_energy_ev_per_atom=-6.179 formation_enthalpy_0k_ev_per_atom=-0.77 pbc="T T T"
Sr -5.218 2.207 0.631
Sr -11.425 -1.033 13.508
Sr -9.546 1.247 6.924
Sr -8.571 -1.310 11.239
Sr -5.648 -0.008 5.638
Sr -4.672 -2.565 9.953
Sr -9.001 -3.525 16.246
Sr -2.794 -0.285 3.369
Fe -7.441 -2.997 13.602
Fe -7.109 -0.659 8.439
Fe -6.778 1.679 3.275
N -7.675 1.396 4.754
N -5.425 -1.239 7.960
N -8.794 -0.079 8.917
N -7.473 2.644 1.973
N -6.746 -3.962 14.904
N -6.544 -2.714 12.124
N -9.031 -2.328 13.802
N -5.188 1.010 3.075